{
  "formula": "Na5CaSiGe3P5O24",
  "functional": "PBE-GGA",
  "state": "relaxed",
  "lattice": [[8.7313, 0.0000, 0.0000], [4.3474, 7.5925, 0.0000], [0.0089, 0.0580, 21.8469]],
  "species": ["Na", "Na", "Na", "Na", "Na", "Na", "Na", "Na", "Na", "Na", "Na", "Na", "Na", "Na", "Na", "Ca", "Ca", "Ca", "Si", "Si", "Si", "Ge", "Ge", "Ge", "Ge", "Ge", "Ge", "Ge", "Ge", "Ge", "P", "P", "P", "P", "P", "P", "P", "P", "P", "P", "P", "P", "P", "P", "P", "O", "O", "O", "O", "O", "O", "O", "O", "O", "O", "O", "O", "O", "O", "O", "O", "O", "O", "O", "O", "O", "O", "O", "O", "O", "O", "O", "O", "O", "O", "O", "O", "O", "O", "O", "O", "O", "O", "O", "O", "O", "O", "O", "O", "O", "O", "O", "O", "O", "O", "O", "O", "O", "O", "O", "O", "O", "O", "O", "O", "O", "O", "O", "O", "O", "O", "O", "O", "O", "O", "O", "O"],
  "frac_coords": [[0.0000, 0.0000, 0.0000], [0.0029, 0.9856, 0.5013], [0.0107, 0.3578, 0.2514], [0.0159, 0.6193, 0.7556], [0.0343, 0.6527, 0.0766], [0.2948, 0.6608, 0.5850], [0.3383, 0.3048, 0.6679], [0.3468, 0.3067, 0.1608], [0.3550, 0.9961, 0.7549], [0.3782, 0.6025, 0.2546], [0.6235, 0.9923, 0.2513], [0.6383, 0.3380, 0.7552], [0.6631, 0.6647, 0.3389], [0.6691, 0.6513, 0.8422], [0.6858, 0.3256, 0.4167], [0.3374, 0.3187, 0.3211], [0.3386, 0.3161, 0.8307], [0.9968, 0.9923, 0.6407], [0.3371, 0.6226, 0.4174], [0.6643, 0.9468, 0.0833], [0.9626, 0.3591, 0.0828], [0.0003, 0.9873, 0.8574], [0.0000, 0.9913, 0.1406], [0.0109, 0.9777, 0.3567], [0.3327, 0.3200, 0.5169], [0.3402, 0.3052, 0.0174], [0.6691, 0.6553, 0.4809], [0.6718, 0.6535, 0.6849], [0.6727, 0.6552, 0.1791], [0.6758, 0.6487, 0.9857], [0.0289, 0.6254, 0.9186], [0.0360, 0.3190, 0.4171], [0.2884, 0.9740, 0.2464], [0.3016, 0.6947, 0.7482], [0.3406, 0.0063, 0.9183], [0.3845, 0.6495, 0.0842], [0.3972, 0.9460, 0.5802], [0.6389, 0.0139, 0.4166], [0.6405, 0.3228, 0.9187], [0.6577, 0.3724, 0.5796], [0.7134, 0.9772, 0.7510], [0.7275, 0.2702, 0.2474], [0.9630, 0.6316, 0.5803], [0.9935, 0.7106, 0.2468], [0.9963, 0.2823, 0.7506], [0.0121, 0.1521, 0.4137], [0.0167, 0.8114, 0.9160], [0.0219, 0.7944, 0.1892], [0.0345, 0.1738, 0.6944], [0.0858, 0.5369, 0.8577], [0.0875, 0.3566, 0.3558], [0.1474, 0.4562, 0.5772], [0.1489, 0.3181, 0.7587], [0.1541, 0.5263, 0.2495], [0.1543, 0.8135, 0.4122], [0.1556, 0.3494, 0.0742], [0.1589, 0.5270, 0.9735], [0.1656, 0.9962, 0.9148], [0.1686, 0.2807, 0.4702], [0.1734, 0.9990, 0.1906], [0.1948, 0.8133, 0.0909], [0.2043, 0.7610, 0.6886], [0.2053, 0.9458, 0.3058], [0.2089, 0.8221, 0.8037], [0.2181, 0.9596, 0.5798], [0.3031, 0.1448, 0.9702], [0.3036, 0.5186, 0.4758], [0.3117, 0.1356, 0.2483], [0.3337, 0.5083, 0.7569], [0.3592, 0.4872, 0.0773], [0.3786, 0.0563, 0.8568], [0.3863, 0.1291, 0.5742], [0.3979, 0.5114, 0.3556], [0.4702, 0.6869, 0.0308], [0.4757, 0.8012, 0.2442], [0.4805, 0.3650, 0.5776], [0.4882, 0.6883, 0.7448], [0.4939, 0.1417, 0.0738], [0.4948, 0.8252, 0.5269], [0.4964, 0.6147, 0.1449], [0.5014, 0.8239, 0.9331], [0.5019, 0.8657, 0.6423], [0.5097, 0.6492, 0.4285], [0.5254, 0.1293, 0.7582], [0.5352, 0.2891, 0.9705], [0.5405, 0.1528, 0.4684], [0.5434, 0.2908, 0.2480], [0.5467, 0.0634, 0.3555], [0.5575, 0.3555, 0.8564], [0.6250, 0.8672, 0.1475], [0.6278, 0.4869, 0.6396], [0.6570, 0.4883, 0.9314], [0.6684, 0.4712, 0.5234], [0.6767, 0.8255, 0.4299], [0.7094, 0.7966, 0.7462], [0.7115, 0.4580, 0.2432], [0.7143, 0.8042, 0.0299], [0.7856, 0.0124, 0.6945], [0.8153, 0.1931, 0.5770], [0.8165, 0.4668, 0.7450], [0.8187, 0.0150, 0.4126], [0.8202, 0.1507, 0.1929], [0.8204, 0.6948, 0.2449], [0.8266, 0.1496, 0.9165], [0.8300, 0.4531, 0.0274], [0.8363, 0.1922, 0.3080], [0.8365, 0.9417, 0.8087], [0.8439, 0.6456, 0.9294], [0.8471, 0.4778, 0.4290], [0.8474, 0.6502, 0.5259], [0.8487, 0.9562, 0.0906], [0.8795, 0.6133, 0.6421], [0.8821, 0.4879, 0.1454], [0.9583, 0.1957, 0.8082], [0.9611, 0.8273, 0.3046], [0.9880, 0.1626, 0.0906], [0.9948, 0.7861, 0.5789]],
  "m_tot_mub_per_atom": 0.000,
  "dft_energy_ev_per_atom": -6.58
}



{
  "formula": "AgPbF6",
  "functional": "PBE-GGA",
  "state": "relaxed",
  "lattice": [[5.5707, 0.0000, 0.0000], [2.6300, 4.9641, 0.0000], [0.0620, 2.9940, 5.1115]],
  "species": ["Ag", "Pb", "F", "F", "F", "F", "F", "F"],
  "frac_coords": [[0.0000, 0.0000, 0.0000], [0.5000, 0.0000, 0.5000], [0.1366, 0.1112, 0.2556], [0.2463, 0.1304, 0.7478], [0.3947, 0.4592, 0.2737], [0.6053, 0.5408, 0.7263], [0.7537, 0.8696, 0.2522], [0.8634, 0.8888, 0.7444]],
  "dft_energy_ev_per_atom": -3.84
}